Entry from Materials Project: an optimized crystal structure of CeThO4 (meta-GGA r2SCAN).

Computed properties:
Magnetic moment ... 0.000 μB per atom
Calculated formation energy ... -3.9839 eV/atom

Unit cell a=3.9047 b=7.8081 c=6.7614 alpha=30.01 beta=54.72 gamma=59.99
Last column: nearest neighbours and their distance in Å.
Element x y z (fractional)
Ce  0.0000  0.5000  0.0000  8 O 2.38
Th  0.0000  0.0000  0.0000  8 O 2.40-2.41
O  0.2544  0.5000  0.2456  2 Ce 2.38, 2 Th 2.40
O  0.2455  0.0000  0.2545  2 Ce 2.38, 2 Th 2.41
O  0.7456  0.5000  0.7544  2 Ce 2.38, 2 Th 2.40
O  0.7545  0.0000  0.7455  2 Ce 2.38, 2 Th 2.41

Entry from Materials Project: an optimized crystal structure of Ce2ThO6 (meta-GGA r2SCAN).

Computed properties:
Magnetic moment ... 0.000 μB per atom
Calculated formation energy ... -3.9066 eV/atom

Unit cell a=3.8899 b=3.8899 c=9.4938 alpha=90.00 beta=90.00 gamma=120.00
Last column: nearest neighbours and their distance in Å.
Element x y z (fractional)
Ce  0.3333  0.6667  0.6629  8 O 2.32-2.37
Ce  0.6667  0.3333  0.3371  8 O 2.32-2.37
Th  0.0000  0.0000  0.0000  8 O 2.39-2.43
O  0.0000  0.0000  0.2557  3 Ce 2.37, 1 Th 2.43
O  0.3333  0.6667  0.9126  1 Ce 2.37, 3 Th 2.39
O  0.6667  0.3333  0.5818  4 Ce 2.32-2.37
O  0.6667  0.3333  0.0874  1 Ce 2.37, 3 Th 2.39
O  0.0000  0.0000  0.7443  3 Ce 2.37, 1 Th 2.43
O  0.3333  0.6667  0.4182  4 Ce 2.32-2.37

Entry from Materials Project: an optimized crystal structure of CeTi2O6 (meta-GGA r2SCAN).

Computed properties:
Magnetic moment ... 0.000 μB per atom
Calculated formation energy ... -3.4552 eV/atom

Unit cell a=3.7629 b=5.2792 c=6.5089 alpha=71.09 beta=73.20 gamma=69.14
Last column: nearest neighbours and their distance in Å.
Element x y z (fractional)
Ce  0.0000  0.5000  0.5000  6 O 2.25-2.29
Ti  0.1774  0.7562  0.8894  5 O 1.86-2.06
Ti  0.8226  0.2438  0.1106  5 O 1.86-2.06
O  0.0228  0.1458  0.8083  2 Ti 1.86-2.06
O  0.9772  0.8542  0.1917  2 Ti 1.86-2.06
O  0.3488  0.7017  0.6010  1 Ti 1.88
O  0.6512  0.2983  0.3990  1 Ti 1.88
O  0.7219  0.6532  0.9032  3 Ti 1.94-2.11
O  0.2781  0.3468  0.0968  3 Ti 1.94-2.11

Entry from Materials Project: an optimized crystal structure of CeU4O10 (meta-GGA r2SCAN).

Computed properties:
Magnetic moment ... 0.533 μB per atom
Calculated formation energy ... -3.7680 eV/atom

Unit cell a=3.8805 b=3.8828 c=15.6971 alpha=90.10 beta=97.03 gamma=119.86
Last column: nearest neighbours and their distance in Å.
Element x y z (fractional)
Ce  0.0045  0.0041  0.0000  8 O 2.41-2.47
U  0.8028  0.3946  0.2006  8 O 2.21-2.40
U  0.5938  0.7940  0.4002  8 O 2.27-2.39
U  0.3924  0.1963  0.5998  8 O 2.27-2.39
U  0.1944  0.6000  0.7994  8 O 2.21-2.41
O  0.9027  0.9526  0.8407  3 U 2.30-2.38, 1 Ce 2.47
O  0.0967  0.5516  0.6482  4 U 2.35-2.38
O  0.2876  0.1409  0.4516  4 U 2.30-2.39
O  0.7103  0.3586  0.0581  1 U 2.21, 3 Ce 2.41-2.42
O  0.5088  0.7526  0.2541  4 U 2.27-2.40
O  0.3006  0.6517  0.9415  1 U 2.21, 3 Ce 2.42
O  0.4986  0.2520  0.7456  4 U 2.27-2.41
O  0.6883  0.8415  0.5493  4 U 2.32-2.39
O  0.1115  0.0609  0.1591  3 U 2.30-2.38, 1 Ce 2.47
O  0.9069  0.4485  0.3518  4 U 2.33-2.39